[1]
First-principles (GGA-PBE) data for an optimized crystal structure of EuIn3Au3, as listed in Materials Project.

Cell and atoms, written as extended XYZ:
```
14
Lattice="-4.553 0.463 0.398 -1.032 -6.015 -4.812 0.044 -5.742 7.169" Properties=species:S:1:pos:R:3 pbc="T T T"
In -2.765 -6.415 2.336
In -3.099 -5.257 -2.824
In -2.476 -1.631 0.076
In -0.273 -6.888 4.886
In -0.683 -9.277 2.974
In 0.016 -2.103 2.626
Au -3.055 -6.774 -0.558
Au -0.727 -7.760 0.708
Au -2.751 -8.245 4.621
Au 0.002 -0.273 0.341
Au -0.254 -5.007 2.909
Au -2.495 -3.511 2.053
Eu -2.245 -3.960 5.432
Eu -0.504 -4.558 -0.470
```

Space-group type: Pmmn, No. 59
DFT formation energy in meV/atom: -460
Volume in Å³/cell: 327.9

---

[2]
First-principles (GGA-PBE) data for an optimized crystal structure of LaEuAu2, as listed in Materials Project.

Cell and atoms, written as extended XYZ:
```
4
Lattice="-2.139 -3.319 3.607 -1.664 1.891 4.718 -5.231 0.245 1.089" Properties=species:S:1:pos:R:3 pbc="T T T"
Au -6.776 -0.887 7.061
Au -2.259 -0.296 2.354
La 0.000 0.000 0.000
Eu -4.517 -0.592 4.707
```

Space-group type: Fm-3m, No. 225
DFT formation energy in meV/atom: -799
Magnetic moment in μB per atom: 1.793
Volume in Å³/cell: 108.2

---

[3]
First-principles (GGA-PBE) data for an optimized crystal structure of Eu3AuO6, as listed in Materials Project.

Cell and atoms, written as extended XYZ:
```
10
Lattice="3.666 -0.003 -0.832 -0.113 5.678 -0.069 0.030 0.020 7.213" Properties=species:S:1:pos:R:3 pbc="T T T"
Eu 1.369 2.702 1.313
Eu 0.015 0.010 3.606
Eu 2.213 2.993 4.999
O 1.876 1.453 3.317
O 0.391 4.543 5.555
O 3.007 3.960 0.065
O 1.706 4.241 2.995
O 0.576 1.734 6.247
O 3.192 1.151 0.757
Au 0.000 0.000 0.000
```

Space-group type: P-1, No. 2
DFT formation energy in meV/atom: -2550
Volume in Å³/cell: 150.3

---

[4]
First-principles (GGA-PBE) data for an optimized crystal structure of EuPAu, as listed in Materials Project.

Cell and atoms, written as extended XYZ:
```
6
Lattice="-2.165 -3.750 0.000 -2.165 3.750 0.000 0.000 0.000 -8.277" Properties=species:S:1:pos:R:3 pbc="T T T"
Eu 0.000 0.000 0.000
Eu 0.000 0.000 -4.138
Au -2.165 -1.250 -6.208
Au -2.165 1.250 -2.069
P -2.165 -1.250 -2.069
P -2.165 1.250 -6.208
```

Space-group type: P6_3/mmc, No. 194
DFT formation energy in meV/atom: -926
Volume in Å³/cell: 134.4

---

[5]
First-principles (GGA-PBE) data for an optimized crystal structure of EuPbAu2, as listed in Materials Project.

Cell and atoms, written as extended XYZ:
```
4
Lattice="0.000 3.645 3.645 3.645 0.000 3.645 3.645 3.645 0.000" Properties=species:S:1:pos:R:3 pbc="T T T"
Au 5.467 5.467 5.467
Au 1.822 1.822 1.822
Eu 3.645 3.645 3.645
Pb 0.000 0.000 0.000
```

Space-group type: Fm-3m, No. 225
DFT formation energy in meV/atom: -554
Volume in Å³/cell: 96.8

---

[6]
First-principles (GGA-PBE) data for an optimized crystal structure of Eu2PdAu, as listed in Materials Project.

Cell and atoms, written as extended XYZ:
```
4
Lattice="-4.915 -1.257 -1.317 -3.907 3.366 0.938 -2.355 2.458 -3.986" Properties=species:S:1:pos:R:3 pbc="T T T"
Au -5.588 2.284 -2.183
Pd 0.000 0.000 0.000
Eu -2.794 1.142 -1.091
Eu -8.382 3.425 -3.274
```

Space-group type: Fm-3m, No. 225
DFT formation energy in meV/atom: -738
Magnetic moment in μB per atom: 3.545
Volume in Å³/cell: 101.8

---

[7]
First-principles (GGA-PBE) data for an optimized crystal structure of Eu2Si4Pd3Au, as listed in Materials Project.

Cell and atoms, written as extended XYZ:
```
10
Lattice="4.282 0.000 0.000 0.000 4.282 0.000 0.000 0.000 9.946" Properties=species:S:1:pos:R:3 pbc="T T T"
Eu 0.000 2.141 2.505
Eu 2.141 0.000 7.441
Pd 0.000 0.000 0.000
Pd 2.141 2.141 4.973
Pd 0.000 0.000 4.973
Si 2.141 0.000 1.352
Si 0.000 2.141 6.234
Si 0.000 2.141 8.594
Si 2.141 0.000 3.712
Au 2.141 2.141 0.000
```

Space-group type: P-4m2, No. 115
DFT formation energy in meV/atom: -759
Magnetic moment in μB per atom: 1.373
Volume in Å³/cell: 182.4

---

[8]
First-principles (GGA-PBE) data for an optimized crystal structure of Eu2PtAu, as listed in Materials Project.

Cell and atoms, written as extended XYZ:
```
4
Lattice="0.000 3.690 3.690 3.690 0.000 3.690 3.690 3.690 0.000" Properties=species:S:1:pos:R:3 pbc="T T T"
Au 0.000 0.000 0.000
Eu 5.536 5.536 5.536
Eu 1.845 1.845 1.845
Pt 3.690 3.690 3.690
```

Space-group type: Fm-3m, No. 225
DFT formation energy in meV/atom: -856
Magnetic moment in μB per atom: 3.541
Volume in Å³/cell: 100.5

---

[9]
First-principles (GGA-PBE) data for an optimized crystal structure of EuSi2Au2, as listed in Materials Project.

Cell and atoms, written as extended XYZ:
```
5
Lattice="4.390 0.000 0.000 0.000 4.390 0.000 -2.195 -2.195 5.095" Properties=species:S:1:pos:R:3 pbc="T T T"
Au 0.000 2.195 2.548
Au 2.195 0.000 2.548
Eu 0.000 0.000 0.000
Si 2.195 2.195 1.170
Si 0.000 0.000 3.925
```

Space-group type: I4/mmm, No. 139
DFT formation energy in meV/atom: -546
Volume in Å³/cell: 98.2

---

[10]
First-principles (GGA-PBE) data for an optimized crystal structure of EuSnAu2, as listed in Materials Project.

Cell and atoms, written as extended XYZ:
```
4
Lattice="4.909 0.284 1.347 1.297 2.038 4.489 1.797 -2.978 3.727" Properties=species:S:1:pos:R:3 pbc="T T T"
Sn 0.000 0.000 0.000
Au 6.002 -0.492 7.173
Au 2.001 -0.164 2.391
Eu 4.001 -0.328 4.782
```

Space-group type: Fm-3m, No. 225
DFT formation energy in meV/atom: -615
Volume in Å³/cell: 93.7

---

[11]
First-principles (GGA-PBE) data for an optimized crystal structure of Eu2Sn5Au2, as listed in Materials Project.

Cell and atoms, written as extended XYZ:
```
18
Lattice="4.657 0.000 0.000 0.000 9.587 0.000 0.000 0.270 10.521" Properties=species:S:1:pos:R:3 pbc="T T T"
Au 3.493 1.565 6.601
Au 1.164 1.727 0.296
Au 1.164 8.292 3.920
Au 3.493 8.130 10.225
Sn 3.493 3.912 5.041
Sn 1.164 3.624 2.553
Sn 1.164 5.945 5.480
Sn 1.164 1.429 5.017
Sn 3.493 3.705 0.173
Sn 3.493 1.257 9.332
Sn 3.493 6.233 7.968
Sn 3.493 8.428 5.504
Sn 1.164 6.152 10.348
Sn 1.164 8.599 1.189
Eu 3.493 1.016 2.600
Eu 1.164 3.656 7.922
Eu 3.493 6.201 2.600
Eu 1.164 8.841 7.921
```

Space-group type: P2_1/m, No. 11
DFT formation energy in meV/atom: -529
Volume in Å³/cell: 469.7

---

[12]
First-principles (GGA-PBE) data for an optimized crystal structure of AuF5, as listed in Materials Project.

Cell and atoms, written as extended XYZ:
```
48
Lattice="5.025 0.000 0.000 0.000 9.716 0.000 0.000 0.000 15.391" Properties=species:S:1:pos:R:3 pbc="T T T"
F 1.846 2.497 5.387
F 0.469 7.420 14.512
F 4.359 2.361 13.082
F 1.846 2.497 2.308
F 3.845 9.492 11.543
F 3.647 4.863 2.245
F 1.378 4.853 9.941
F 1.378 4.853 13.145
F 1.134 9.711 9.941
F 3.178 7.220 13.082
F 1.180 0.225 3.848
F 0.469 7.420 8.573
F 1.134 9.711 13.145
F 1.237 0.259 6.830
F 3.693 4.634 11.543
F 3.891 0.005 2.245
F 2.011 2.620 11.543
F 4.359 2.361 10.004
F 2.043 2.562 14.512
F 3.788 9.458 14.525
F 3.750 4.599 14.525
F 0.502 7.478 11.543
F 3.788 9.458 8.561
F 3.647 4.863 5.450
F 1.332 5.083 3.848
F 2.043 2.562 8.573
F 3.891 0.005 5.450
F 3.750 4.599 8.561
F 0.666 7.355 5.387
F 1.275 5.117 6.830
F 4.523 2.238 3.848
F 3.178 7.220 10.004
F 4.555 2.297 6.817
F 2.982 7.155 0.878
F 3.014 7.096 3.848
F 0.666 7.355 2.308
F 4.555 2.297 0.878
F 1.237 0.259 0.866
F 2.982 7.155 6.817
F 1.275 5.117 0.866
Au 4.666 8.468 13.150
Au 2.154 6.107 5.455
Au 0.359 1.249 2.241
Au 0.359 1.249 5.455
Au 4.666 8.468 9.936
Au 2.871 3.610 13.150
Au 2.871 3.610 9.936
Au 2.154 6.107 2.241
```

Space-group type: Pnma, No. 62
DFT formation energy in meV/atom: -1128
Volume in Å³/cell: 751.4

---

[13]
First-principles (GGA-PBE) data for an optimized crystal structure of K2GaAuF6, as listed in Materials Project.

Cell and atoms, written as extended XYZ:
```
10
Lattice="-2.945 -4.974 2.259 -0.850 -0.590 6.119 -5.687 0.592 2.414" Properties=species:S:1:pos:R:3 pbc="T T T"
F -4.210 -4.214 7.070
F -2.557 -1.422 5.802
F -5.272 -0.759 3.723
F -6.925 -3.550 4.990
F -3.733 -3.882 3.635
F -5.749 -1.090 7.157
Ga 0.000 0.000 0.000
K -7.111 -3.729 8.094
K -2.370 -1.243 2.698
Au -4.741 -2.486 5.396
```

Space-group type: Fm-3m, No. 225
DFT formation energy in meV/atom: -2498
Magnetic moment in μB per atom: 0.000
Volume in Å³/cell: 169.0

---

[14]
First-principles (GGA-PBE) data for an optimized crystal structure of Na2GaAuF6, as listed in Materials Project.

Cell and atoms, written as extended XYZ:
```
10
Lattice="0.000 4.331 4.331 4.331 0.000 4.331 4.331 4.331 0.000" Properties=species:S:1:pos:R:3 pbc="T T T"
F 6.748 4.331 4.331
F 4.331 1.914 4.331
F 4.331 4.331 6.748
F 1.914 4.331 4.331
F 4.331 4.331 1.914
F 4.331 6.748 4.331
Ga 0.000 0.000 0.000
Na 2.165 2.165 2.165
Na 6.496 6.496 6.496
Au 4.331 4.331 4.331
```

Space-group type: Fm-3m, No. 225
DFT formation energy in meV/atom: -2329
Magnetic moment in μB per atom: 0.000
Volume in Å³/cell: 162.4

---

[15]
First-principles (GGA-PBE) data for an optimized crystal structure of Rb2GaAuF6, as listed in Materials Project.

Cell and atoms, written as extended XYZ:
```
10
Lattice="0.000 4.437 4.437 4.437 0.000 4.437 4.437 4.437 0.000" Properties=species:S:1:pos:R:3 pbc="T T T"
F 4.437 6.941 4.437
F 6.941 4.437 4.437
F 4.437 4.437 1.933
F 4.437 4.437 6.941
F 4.437 1.933 4.437
F 1.933 4.437 4.437
Rb 2.219 2.219 2.219
Rb 6.656 6.656 6.656
Ga 0.000 0.000 0.000
Au 4.437 4.437 4.437
```

Space-group type: Fm-3m, No. 225
DFT formation energy in meV/atom: -2511
Magnetic moment in μB per atom: 0.000
Volume in Å³/cell: 174.7

---

[16]
First-principles (GGA-PBE) data for an optimized crystal structure of HgAu2F8, as listed in Materials Project.

Cell and atoms, written as extended XYZ:
```
22
Lattice="-0.968 5.760 -0.998 -2.234 -1.299 -5.333 -9.731 -0.891 4.293" Properties=species:S:1:pos:R:3 pbc="T T T"
F -7.792 -0.585 -1.117
F -9.329 -0.316 1.924
F -3.603 3.886 -3.961
F -7.633 3.927 0.180
F -6.181 2.522 -3.619
F -2.092 0.346 -1.269
F -10.841 3.224 -0.768
F -4.258 1.276 0.481
F -9.485 2.985 2.255
F -6.751 1.048 1.581
F -5.140 4.155 -0.920
F -10.684 -0.077 -1.099
F -5.299 -0.357 -2.217
F -8.674 2.294 -2.519
F -2.248 3.647 -0.938
F -3.447 0.585 -4.292
Au -1.117 -0.650 -2.666
Au -0.484 2.880 -0.499
Au -5.982 -1.095 -0.520
Au -5.349 2.435 1.648
Hg -2.433 -0.223 1.073
Hg -7.298 -0.668 3.220
```

Space-group type: P4/mcc, No. 124
DFT formation energy in meV/atom: -1482
Volume in Å³/cell: 374.8

---

[17]
First-principles (GGA-PBE) data for an optimized crystal structure of Rb2HgAuF6, as listed in Materials Project.

Cell and atoms, written as extended XYZ:
```
10
Lattice="0.000 4.579 4.579 4.579 0.000 4.579 4.579 4.579 0.000" Properties=species:S:1:pos:R:3 pbc="T T T"
Rb 6.868 6.868 6.868
Rb 2.289 2.289 2.289
F 4.579 4.579 2.265
F 4.579 2.265 4.579
F 6.893 4.579 4.579
F 4.579 6.893 4.579
F 2.265 4.579 4.579
F 4.579 4.579 6.893
Hg 4.579 4.579 4.579
Au 0.000 0.000 0.000
```

Space-group type: Fm-3m, No. 225
DFT formation energy in meV/atom: -2037
Magnetic moment in μB per atom: 0.098
Volume in Å³/cell: 192.0

---

[18]
First-principles (GGA-PBE) data for an optimized crystal structure of Ho2Au5F21, as listed in Materials Project.

Cell and atoms, written as extended XYZ:
```
56
Lattice="-7.968 0.569 -1.184 -0.806 -9.113 -0.066 -1.991 -0.076 11.923" Properties=species:S:1:pos:R:3 pbc="T T T"
Au -9.927 -6.332 7.783
Au -4.109 0.092 2.997
Au -7.466 -6.609 0.076
Au -6.443 -4.377 8.734
Au -4.323 -4.243 1.938
Au -6.657 -8.711 7.676
Au -3.299 -2.011 10.597
Au -2.791 -2.474 6.864
Au -0.839 -2.288 2.890
Au -7.974 -6.146 3.809
Ho -5.319 -7.333 11.461
Ho -5.446 -1.287 -0.788
Ho -4.175 -6.077 5.571
Ho -6.590 -2.543 5.102
F -3.758 -8.017 1.701
F -7.287 -1.885 0.430
F -3.067 -5.301 0.846
F -5.895 -5.401 10.323
F -7.613 -4.863 0.902
F -3.984 0.284 -0.592
F -7.629 -1.609 3.301
F -7.140 -3.362 7.197
F -3.362 -0.167 11.356
F -5.259 -2.156 10.343
F -5.140 -5.406 7.687
F -3.926 -8.129 4.383
F -3.136 -7.011 7.372
F -7.403 -8.453 -0.683
F -5.647 -7.840 9.125
F -3.152 -3.757 9.771
F -8.381 -6.481 6.619
F -7.699 -3.318 9.827
F -5.625 -3.214 2.986
F -5.638 -7.695 6.326
F -2.064 -2.351 1.385
F -2.385 -2.139 4.054
F -8.061 -7.931 3.067
F -5.383 -4.310 5.336
F -5.127 -0.924 4.347
F -1.447 -7.264 1.038
F -5.506 -6.464 0.330
F -6.839 -0.491 6.290
F -4.870 -3.219 0.350
F -3.478 -6.734 10.242
F -9.318 -1.356 9.635
F -2.845 -4.367 6.223
F -4.751 -2.223 6.801
F -7.921 -4.253 4.450
F -6.014 -6.397 3.872
F -1.969 -6.566 4.919
F -3.625 -5.257 3.476
F -5.119 -0.779 1.547
F -8.701 -6.269 9.288
F -2.705 -0.688 7.606
F -7.007 -0.603 8.972
F -8.796 -2.054 5.754
```

Space-group type: P-1, No. 2
DFT formation energy in meV/atom: -2230
Magnetic moment in μB per atom: 0.000
Volume in Å³/cell: 892.7

---

[19]
First-principles (GGA-PBE) data for an optimized crystal structure of K2InAuF6, as listed in Materials Project.

Cell and atoms, written as extended XYZ:
```
10
Lattice="0.000 4.554 4.554 4.554 0.000 4.554 4.554 4.554 0.000" Properties=species:S:1:pos:R:3 pbc="T T T"
F 4.554 4.554 7.006
F 4.554 2.103 4.554
F 2.103 4.554 4.554
F 4.554 4.554 2.103
F 7.006 4.554 4.554
F 4.554 7.006 4.554
K 2.277 2.277 2.277
K 6.831 6.831 6.831
In 0.000 0.000 0.000
Au 4.554 4.554 4.554
```

Space-group type: Fm-3m, No. 225
DFT formation energy in meV/atom: -2411
Magnetic moment in μB per atom: 0.000
Volume in Å³/cell: 188.9